No. 1
# BaSrEr4O8 | Materials Project | PBE | optimized geometry
# VASP energy: -108.4 eV per formula unit
# Total magnetic moment: 0.00 μB per formula unit
# ΔE_f: -3.74 eV/atom
# Volume: 15.14 Å³ per atom
# MP2020-corrected energy: -8.134 eV per atom
data_BaSrEr4O8
_symmetry_space_group_name_H-M 'P m c 21'
_symmetry_Int_Tables_number 26
_cell_length_a 3.425
_cell_length_b 12.031
_cell_length_c 10.284
_cell_angle_alpha 90.00
_cell_angle_beta 90.00
_cell_angle_gamma 90.00
loop_
_symmetry_equiv_pos_as_xyz
'x,y,z'
'-x,-y,z+1/2'
'-x,y,z'
'x,-y,z+1/2'
loop_
_atom_site_label
_atom_site_type_symbol
_atom_site_fract_x
_atom_site_fract_y
_atom_site_fract_z
_atom_site_occupancy
Ba1 Ba 0.000 0.101 0.000 1
Sr1 Sr 0.500 0.398 0.506 1
Er1 Er 0.000 0.143 0.330 1
Er2 Er 0.000 0.363 0.828 1
Er3 Er 0.500 0.144 0.674 1
Er4 Er 0.500 0.365 0.179 1
O1 O 0.000 0.034 0.734 1
O2 O 0.000 0.273 0.630 1
O3 O 0.000 0.330 0.330 1
O4 O 0.000 0.418 0.043 1
O5 O 0.500 0.091 0.463 1
O6 O 0.500 0.179 0.186 1
O7 O 0.500 0.236 0.867 1
O8 O 0.500 0.467 0.767 1

No. 2
# Ba5Bi3 | Materials Project | PBE | optimized geometry
# VASP energy: -28.4 eV per formula unit
# ΔE_f: -0.90 eV/atom
# Volume: 46.08 Å³ per atom
data_Ba5Bi3
_symmetry_space_group_name_H-M 'P 63/m c m'
_symmetry_Int_Tables_number 193
_symmetry_space_group_name_Hall '-P 6c 2'
_cell_length_a 10.3084
_cell_length_b 10.3084
_cell_length_c 8.0122
_cell_angle_alpha 90.00
_cell_angle_beta 90.00
_cell_angle_gamma 120.00
loop_
_atom_site_label
_atom_site_type_symbol
_atom_site_fract_x
_atom_site_fract_y
_atom_site_fract_z
_atom_site_occupancy
Ba1 Ba 0.0000 0.2544 0.2500 1
Ba2 Ba 0.3333 0.6667 0.0000 1
Bi1 Bi 0.0000 0.3916 0.7500 1

No. 3
# SiH8CN4F6 | Materials Project | PBE | optimized geometry
# VASP energy: -112.0 eV per formula unit
# Total magnetic moment: 0.00 μB per formula unit
# ΔE_f: -1.41 eV/atom
# Volume: 8.99 Å³ per atom
# MP2020-corrected energy: -5.741 eV per atom
data_SiH8CN4F6
_symmetry_space_group_name_H-M 'P c c n'
_symmetry_Int_Tables_number 56
_cell_length_a 10.518
_cell_length_b 17.952
_cell_length_c 7.620
_cell_angle_alpha 90.00
_cell_angle_beta 90.00
_cell_angle_gamma 90.00
loop_
_symmetry_equiv_pos_as_xyz
'x,y,z'
'-x,-y,-z'
'-x+1/2,-y+1/2,z'
'x+1/2,y+1/2,-z'
'x+1/2,-y,-z+1/2'
'-x+1/2,y,z+1/2'
'-x,y+1/2,-z+1/2'
'x,-y+1/2,z+1/2'
loop_
_atom_site_label
_atom_site_type_symbol
_atom_site_fract_x
_atom_site_fract_y
_atom_site_fract_z
_atom_site_occupancy
Si1 Si 0.049 0.134 0.112 1
H1 H 0.040 0.056 0.730 1
H2 H 0.053 0.201 0.696 1
H3 H 0.109 0.172 0.498 1
H4 H 0.109 0.698 0.025 1
H5 H 0.152 0.007 0.308 1
H6 H 0.179 0.142 0.684 1
H7 H 0.215 0.546 0.367 1
H8 H 0.240 0.664 0.478 1
C1 C 0.115 0.600 0.891 1
N1 N 0.013 0.091 0.631 1
N2 N 0.091 0.156 0.626 1
N3 N 0.164 0.663 0.951 1
N4 N 0.189 0.543 0.850 1
F1 F 0.003 0.704 0.245 1
F2 F 0.041 0.570 0.275 1
F3 F 0.077 0.652 0.525 1
F4 F 0.104 0.066 0.976 1
F5 F 0.140 0.198 0.008 1
F6 F 0.175 0.117 0.259 1

No. 4
# P2Pb4SO12 | Materials Project | PBE | optimized geometry
# VASP energy: -122.9 eV per formula unit
# Total magnetic moment: 0.00 μB per formula unit
# ΔE_f: -2.21 eV/atom
# Volume: 16.01 Å³ per atom
# MP2020-corrected energy: -6.903 eV per atom
data_P2Pb4SO12
_symmetry_space_group_name_H-M 'I -4 2 d'
_symmetry_Int_Tables_number 122
_symmetry_space_group_name_Hall 'I -4 2bw'
_cell_length_a 10.650
_cell_length_b 10.650
_cell_length_c 10.725
_cell_angle_alpha 90.00
_cell_angle_beta 90.00
_cell_angle_gamma 90.00
loop_
_atom_site_label
_atom_site_type_symbol
_atom_site_fract_x
_atom_site_fract_y
_atom_site_fract_z
_atom_site_occupancy
P1 P 0.124 0.250 0.125 1
Pb1 Pb 0.078 0.171 0.810 1
S1 S 0.000 0.000 0.500 1
O1 O 0.042 0.141 0.177 1
O2 O 0.051 0.104 0.579 1
O3 O 0.197 0.706 0.266 1

No. 5
# RbMgBr3O6 | Materials Project | PBE | optimized geometry
# Offset from the most stable computed form: 0.3133 eV/atom
# VASP energy: -42.2 eV per formula unit
# Total magnetic moment: 2.91 μB per formula unit
# ΔE_f: -0.55 eV/atom
# Volume: 26.01 Å³ per atom
# MP2020-corrected energy: -3.928 eV per atom
data_RbMgBr3O6
_symmetry_space_group_name_H-M 'C 1 2/c 1'
_symmetry_Int_Tables_number 15
_cell_length_a 7.564
_cell_length_b 11.207
_cell_length_c 13.540
_cell_angle_alpha 90.00
_cell_angle_beta 94.48
_cell_angle_gamma 90.00
loop_
_symmetry_equiv_pos_as_xyz
'x,y,z'
'-x,-y,-z'
'-x,y,-z+1/2'
'x,-y,z+1/2'
'x+1/2,y+1/2,z'
'-x+1/2,-y+1/2,-z'
'-x+1/2,y+1/2,-z+1/2'
'x+1/2,-y+1/2,z+1/2'
loop_
_atom_site_label
_atom_site_type_symbol
_atom_site_fract_x
_atom_site_fract_y
_atom_site_fract_z
_atom_site_occupancy
Rb1 Rb 0.000 0.185 0.250 1
Mg1 Mg 0.250 0.250 0.000 1
Br1 Br 0.247 0.431 0.208 1
Br2 Br 0.250 0.250 0.500 1
O1 O 0.007 0.214 0.489 1
O2 O 0.068 0.488 0.979 1
O3 O 0.232 0.211 0.854 1

No. 6
# Cs2NiAs2 | Materials Project | PBE | optimized geometry
# VASP energy: -18.9 eV per formula unit
# ΔE_f: -0.40 eV/atom
# Volume: 33.23 Å³ per atom
data_Cs2NiAs2
_symmetry_space_group_name_H-M 'C m c m'
_symmetry_Int_Tables_number 63
_symmetry_space_group_name_Hall '-C 2c 2'
_cell_length_a 7.317
_cell_length_b 14.651
_cell_length_c 6.200
_cell_angle_alpha 90.00
_cell_angle_beta 90.00
_cell_angle_gamma 90.00
loop_
_atom_site_label
_atom_site_type_symbol
_atom_site_fract_x
_atom_site_fract_y
_atom_site_fract_z
_atom_site_occupancy
Cs1 Cs 0.000 0.090 0.250 1
Cs2 Cs 0.000 0.293 0.750 1
Ni1 Ni 0.000 0.500 0.000 1
As1 As 0.166 0.410 0.250 1